A plane-wave DFT calculation with GGA+U was carried out for a relaxed LiCrP4O12 crystal.

The distance to the lowest polymorph of the same formula is 40 meV/atom. The energy of formation from the pure elements is -2.60 eV/atom.

The structure belongs to space group C2/c (No. 15); the cell edges are 8.036, 11.321 and 9.540 Å and the angles 90.00°, 91.97° and 90.00°. The inequivalent atoms are Li at (0.000, 0.167, 0.250), Cr at (0.000, 0.113, 0.750), P at (0.054, 0.323, 0.536), P at (0.238, 0.040, 0.026), O at (0.011, 0.279, 0.395), O at (0.098, 0.403, 0.904), O at (0.113, 0.240, 0.653), O at (0.121, 0.020, 0.146), O at (0.173, 0.114, 0.905) and O at (0.204, 0.418, 0.539).